DFT (PBE) results for a relaxed structure of K2Te.

```
K2Te
1.0
1.852 -5.515 -0.197
-1.236 -3.644 4.368
-3.813 -4.324 -0.807
Te K
1 2
Cartesian
0.000 0.000 0.000
-2.397 -10.112 2.523
-0.799 -3.371 0.841
```

Results
Calculated total energy   -2.812 eV/atom
ΔH_f (0 K)   -1.165 eV per atom
E (MP2020)   -2.9527 eV per atom

DFT (PBE) results for a relaxed structure of K5Te3.

```
K5Te3
1.0
-6.932 6.932 3.254
6.932 -6.932 3.254
6.932 6.932 -3.254
Te K
6 10
Cartesian
4.768 2.145 3.254
-2.145 4.768 3.254
2.164 4.787 0.000
0.000 0.000 1.424
0.000 0.000 5.084
9.077 2.164 0.000
1.268 10.754 0.000
3.899 8.154 0.000
3.822 5.664 3.254
6.932 0.000 1.627
0.000 6.932 1.627
3.110 1.268 0.000
3.033 -1.222 3.254
5.710 3.899 0.000
5.664 -3.822 3.254
1.222 3.033 3.254
```

Results
Calculated total energy   -2.838 eV/atom
ΔH_f (0 K)   -1.123 eV per atom
E (MP2020)   -2.9962 eV per atom

DFT (PBE) results for a relaxed structure of K2Te3.

```
K2Te3
1.0
-2.277 -0.921 -3.910
-4.514 -8.200 4.560
-12.100 9.354 4.844
Te K
12 8
Cartesian
-12.755 -1.060 3.297
-11.670 4.209 1.960
-15.969 2.763 6.992
-12.428 5.873 4.201
-9.217 2.048 0.502
-2.922 -2.529 -1.498
-13.066 0.784 6.306
-9.673 -1.814 4.992
-6.462 -5.639 1.293
-7.220 -3.975 3.534
-5.824 -0.550 -0.812
-6.135 1.294 2.197
-10.592 -5.114 3.425
-4.134 -2.921 1.874
-10.302 1.708 4.093
-8.589 -1.474 1.401
-16.760 -0.484 5.644
-2.131 0.718 -0.150
-8.298 5.348 2.069
-14.756 3.155 3.620
```

Results
Calculated total energy   -3.033 eV/atom
ΔH_f (0 K)   -0.956 eV per atom
E (MP2020)   -3.2864 eV per atom

DFT (PBE) results for a relaxed structure of KTh2Te6.

```
KTh2Te6
1.0
7.815 8.930 2.909
-10.659 -5.682 -1.842
0.009 -1.919 5.864
Th Te K
2 6 1
Cartesian
1.881 4.236 1.383
-4.717 -1.945 2.617
5.909 5.980 6.811
5.905 6.936 3.888
-8.739 -4.639 0.097
-5.585 -1.669 -0.537
2.744 3.956 4.536
-8.734 -5.611 3.069
-1.348 0.719 3.483
```

Results
Calculated total energy   -4.965 eV/atom
ΔH_f (0 K)   -1.380 eV per atom
E (MP2020)   -5.2467 eV per atom

DFT (PBE) results for a relaxed structure of K4Ti3Te9.

```
K4Ti3Te9
1.0
8.261 0.000 0.000
0.000 9.090 0.000
0.000 1.162 29.899
Te Ti K
36 12 16
Cartesian
0.267 9.203 19.760
5.500 1.146 13.427
2.799 2.579 5.720
3.864 8.621 4.811
4.853 3.023 18.618
7.539 2.442 3.669
1.332 3.160 20.669
0.046 4.559 27.669
4.385 4.894 27.205
2.761 5.829 20.906
3.876 5.358 2.694
1.324 2.748 16.630
6.937 7.504 13.269
1.369 5.248 5.957
6.892 5.005 23.942
0.254 5.939 17.643
8.173 8.252 5.226
0.088 2.000 24.672
8.215 5.693 2.230
4.218 8.833 20.176
5.500 4.424 8.992
0.722 7.811 26.230
8.007 4.313 12.255
6.929 7.092 9.230
2.761 9.107 16.472
4.043 1.419 9.723
2.806 2.167 1.680
5.455 8.085 28.218
1.369 8.526 1.522
4.177 6.274 17.179
5.462 7.674 24.179
7.994 1.050 10.138
4.397 1.631 25.088
6.892 1.727 28.376
3.408 7.230 11.280
4.084 3.978 12.719
2.502 4.495 18.453
2.572 1.468 18.836
6.702 9.365 26.012
5.690 8.784 11.063
2.205 7.537 18.744
1.926 6.956 3.794
1.559 0.887 3.887
6.056 2.716 11.155
5.759 5.758 11.446
6.335 3.297 26.104
6.633 6.339 26.395
1.629 3.914 3.504
5.973 5.410 5.433
1.938 6.096 14.470
6.418 5.991 20.382
2.356 1.708 27.916
2.288 4.843 24.466
5.905 8.544 1.982
6.487 9.125 16.932
2.193 6.677 29.420
1.978 8.841 22.911
6.068 3.576 0.479
1.843 4.262 9.517
1.774 1.127 12.967
6.283 1.412 6.987
2.152 8.260 7.962
6.324 4.157 15.428
6.109 1.993 21.937
```

Results
Calculated total energy   -4.367 eV/atom
ΔH_f (0 K)   -1.079 eV per atom
E (MP2020)   -4.6048 eV per atom

DFT (PBE) results for a relaxed structure of K2UTe3.

```
K2UTe3
1.0
-6.858 4.279 0.109
-0.273 -8.071 -0.362
-2.510 -1.649 8.139
Te K U
6 4 2
Cartesian
-6.161 -6.472 6.123
-8.611 -1.877 6.298
-3.480 1.031 1.762
-3.416 -2.064 6.379
-1.030 -3.563 1.587
-6.225 -3.376 1.506
-3.565 -1.896 -0.127
-1.255 -0.824 4.069
-5.839 -0.809 4.016
-3.801 -4.632 3.870
-1.379 -5.997 -0.283
-5.751 2.205 0.030
```

Results
Calculated total energy   -4.761 eV/atom
ΔH_f (0 K)   -1.148 eV per atom
E (MP2020)   -4.9720 eV per atom

DFT (PBE) results for a relaxed structure of KYTe2.

```
KYTe2
1.0
-0.854 -1.448 -4.177
-1.747 2.818 -3.047
6.739 2.662 -4.728
Te Y K
2 1 1
Cartesian
3.419 3.115 -9.060
0.719 0.916 -2.892
0.000 0.000 0.000
2.069 2.016 -5.976
```

Results
Calculated total energy   -4.873 eV/atom
ΔH_f (0 K)   -1.618 eV per atom
E (MP2020)   -5.0843 eV per atom

DFT (PBE) results for a relaxed structure of KZr12Te16.

```
KZr12Te16
1.0
-6.435 -1.410 4.431
6.449 -0.579 9.147
-1.135 10.509 -5.367
Te Zr K
16 12 1
Cartesian
-2.305 8.354 4.675
-2.041 -0.540 5.760
-1.553 6.168 1.503
0.796 1.420 10.501
-2.287 5.134 7.201
-1.917 7.101 -2.291
-4.774 5.458 3.714
0.432 2.353 6.708
1.185 0.167 3.536
-5.150 6.401 -0.073
-2.040 2.694 3.222
4.029 2.120 8.284
0.921 9.061 2.451
0.919 5.827 4.988
1.166 3.387 1.010
3.653 3.062 4.497
2.733 0.706 5.952
-0.592 3.589 9.155
-0.496 -0.011 8.166
2.617 4.290 6.957
-0.625 8.531 0.044
0.787 3.130 3.899
-0.528 4.931 -0.944
-2.447 2.430 6.123
-3.738 4.231 1.254
-3.854 7.815 2.259
1.326 6.090 2.088
-1.908 5.391 4.311
-3.217 -0.705 2.216
```

Results
Calculated total energy   -6.267 eV/atom
ΔH_f (0 K)   -1.190 eV per atom
E (MP2020)   -6.4994 eV per atom

DFT (PBE) results for a relaxed structure of K2ZrTe3.

```
K2ZrTe3
1.0
14.366 0.000 0.000
0.000 7.010 0.000
0.000 2.569 8.955
Te Zr K
12 4 8
Cartesian
2.166 5.866 8.254
8.401 3.698 2.452
12.200 3.714 0.701
5.965 5.881 6.503
9.349 0.208 0.701
11.666 3.721 4.788
9.883 7.226 4.788
2.700 5.859 4.166
13.148 7.203 2.452
5.017 9.371 8.254
1.218 2.376 6.503
4.483 2.353 4.166
3.582 7.490 6.334
3.601 3.985 6.334
10.784 2.089 2.620
10.765 5.594 2.620
13.844 6.334 5.871
5.212 3.360 0.911
12.395 2.714 8.043
6.661 6.750 3.083
0.522 3.245 3.083
1.971 6.865 0.911
9.154 6.219 8.043
7.705 2.829 5.871
```

Results
Calculated total energy   -4.382 eV/atom
ΔH_f (0 K)   -1.226 eV per atom
E (MP2020)   -4.5928 eV per atom

DFT (PBE) results for a relaxed structure of K8Tl11.

```
K8Tl11
1.0
17.606 -5.144 0.000
17.606 5.144 0.000
16.103 0.000 8.782
Tl K
22 16
Cartesian
12.829 -2.238 2.195
12.502 1.119 4.106
31.602 3.689 5.126
35.817 0.000 6.129
38.160 -1.119 8.497
10.159 0.000 1.738
19.246 2.086 6.393
23.550 1.455 0.735
28.375 3.541 4.487
30.992 -1.603 8.686
22.941 -3.541 4.295
38.487 2.238 6.586
20.324 1.603 0.096
38.814 -1.119 4.676
27.766 -1.455 8.047
13.156 1.119 0.285
32.070 -2.086 2.388
28.800 -2.086 2.003
41.157 0.000 7.043
15.499 0.000 2.652
22.516 2.086 6.779
19.714 -3.689 3.656
18.623 -1.666 0.787
33.534 1.215 3.075
27.336 1.215 1.315
24.641 3.478 3.603
32.693 1.666 7.994
29.703 0.000 5.083
47.271 0.000 8.090
24.996 -2.263 1.528
26.320 2.263 7.253
21.613 0.000 3.699
26.675 -3.478 5.178
4.045 0.000 0.692
23.980 -1.215 7.466
33.048 -2.881 5.919
18.268 2.881 2.862
17.782 -1.215 5.706
```

Results
Calculated total energy   -1.967 eV/atom
ΔH_f (0 K)   -0.132 eV per atom

DFT (PBE) results for a relaxed structure of KTl.

```
KTl
1.0
7.735 -7.832 0.000
7.735 7.832 0.000
0.000 0.000 8.254
Tl K
12 12
Cartesian
9.381 -1.839 0.670
7.020 0.000 1.710
6.090 1.839 7.585
9.381 -5.994 3.458
6.090 -1.839 7.585
9.381 1.839 0.670
6.090 -5.994 4.797
9.381 5.994 3.458
6.090 5.994 4.797
8.450 0.000 6.545
14.755 0.000 2.417
0.715 0.000 5.837
4.439 3.916 2.064
7.735 5.090 0.000
11.031 -3.916 6.191
12.346 0.000 7.687
7.735 2.742 4.127
7.735 -2.742 4.127
4.439 -3.916 2.064
7.735 -5.090 0.000
3.124 0.000 0.567
11.031 3.916 6.191
10.859 0.000 3.560
4.611 0.000 4.694
```

Results
Calculated total energy   -1.852 eV/atom
ΔH_f (0 K)   -0.116 eV per atom

DFT (PBE) results for a relaxed structure of KTl.

```
KTl
1.0
-0.927 2.581 -4.673
4.218 1.421 3.089
7.665 -8.835 -6.402
K Tl
4 4
Cartesian
7.054 -3.437 -3.299
9.450 -6.199 -5.300
3.902 -1.395 -4.686
1.506 1.367 -2.685
6.537 -4.431 -6.887
5.749 -6.626 -4.801
4.419 -0.401 -1.098
1.916 -2.209 -1.600
```

Results
Calculated total energy   -1.805 eV/atom
ΔH_f (0 K)   -0.068 eV per atom

DFT (PBE) results for a relaxed structure of K10Tl7.

```
K10Tl7
1.0
22.957 0.000 0.000
0.000 10.223 0.000
0.000 0.755 13.623
K Tl
40 28
Cartesian
20.145 0.827 12.512
17.677 3.481 6.762
2.812 10.151 1.111
2.440 7.386 11.350
10.902 3.555 6.361
10.791 7.041 0.388
2.952 1.043 5.632
11.990 10.308 10.444
19.629 6.813 4.822
8.151 3.788 1.990
10.967 0.671 3.179
0.511 1.048 9.991
6.249 10.007 3.320
13.919 3.970 9.085
20.005 9.935 7.992
22.381 7.045 0.451
4.968 4.004 12.833
8.666 10.529 7.923
17.989 6.974 0.790
22.270 3.559 6.424
17.728 0.594 3.492
14.807 7.191 11.634
0.576 3.933 13.173
8.526 1.421 12.444
22.446 9.930 3.633
16.446 7.352 7.602
5.229 10.385 10.132
16.708 0.972 10.303
5.281 7.498 6.861
9.038 7.008 4.539
14.431 9.558 1.180
6.198 7.120 0.049
12.055 7.423 7.263
16.759 3.859 13.574
14.291 0.450 5.701
3.328 4.165 8.802
6.511 3.626 6.022
0.687 7.419 7.200
12.166 3.937 13.235
20.517 3.593 2.273
8.638 8.375 10.795
14.422 5.687 1.700
14.319 2.604 2.828
8.691 6.013 8.465
2.788 5.636 1.653
5.553 6.141 3.452
12.671 7.579 3.755
22.801 4.935 9.862
20.014 6.065 8.512
17.405 4.838 10.172
4.504 3.047 2.830
18.453 7.931 10.793
2.943 4.914 5.112
5.926 6.518 10.263
2.841 7.997 3.983
10.286 3.399 9.868
20.116 2.981 9.640
21.765 7.957 10.567
14.267 4.965 5.158
8.536 5.291 11.923
1.192 3.021 3.057
20.169 5.343 11.970
0.156 6.044 3.761
11.635 4.557 3.051
17.031 4.460 3.360
6.975 3.425 9.642
11.322 6.421 10.573
15.982 7.554 3.981
```

Results
Calculated total energy   -1.730 eV/atom
ΔH_f (0 K)   -0.104 eV per atom

DFT (PBE) results for a relaxed structure of KTl3.

```
KTl3
1.0
3.956 -6.852 0.000
3.956 6.852 0.000
0.000 0.000 5.368
Tl K
6 2
Cartesian
3.956 4.871 1.342
6.196 -0.991 4.026
1.716 -0.991 4.026
3.956 -4.871 4.026
1.716 0.991 1.342
6.196 0.991 1.342
3.956 -2.284 1.342
3.956 2.284 4.026
```

Results
Calculated total energy   -2.129 eV/atom
ΔH_f (0 K)   -0.080 eV per atom